The following is a DFT calculation (PBE) of a geometry-optimized K2P3NO12 structure.

Summary:
ΔH_f (0 K): -1.4478 eV per atom

```
data_K2P3NO12
_cell_length_a 7.710
_cell_length_b 7.710
_cell_length_c 21.819
_cell_angle_alpha 90.00
_cell_angle_beta 90.00
_cell_angle_gamma 90.00
_space_group_name_H-M_alt 'I -4 2 d'
_space_group_IT_number 122
_space_group_name_Hall 'I -4 2bw'
loop_
_atom_site_label
_atom_site_type_symbol
_atom_site_fract_x
_atom_site_fract_y
_atom_site_fract_z
K1 K 0.000 0.000 0.170
P1 P 0.000 0.000 0.000
P2 P 0.000 0.000 0.334
N1 N 0.000 0.000 0.500
O1 O 0.036 0.652 0.206
O2 O 0.051 0.658 0.877
O3 O 0.069 0.648 0.542
```

=====

The following is a DFT calculation (PBE) of a geometry-optimized KP4N3O16 structure.

Summary:
ΔH_f (0 K): -0.6857 eV per atom

```
data_KP4N3O16
_cell_length_a 7.898
_cell_length_b 7.898
_cell_length_c 7.513
_cell_angle_alpha 90.00
_cell_angle_beta 90.00
_cell_angle_gamma 90.00
_space_group_name_H-M_alt 'P -4'
_space_group_IT_number 81
_space_group_name_Hall 'P -4'
loop_
_atom_site_label
_atom_site_type_symbol
_atom_site_fract_x
_atom_site_fract_y
_atom_site_fract_z
K1 K 0.000 0.000 0.000
P1 P 0.000 0.000 0.500
P2 P 0.000 0.500 0.756
P3 P 0.500 0.500 0.000
N1 N 0.000 0.500 0.249
N2 N 0.500 0.500 0.500
O1 O 0.037 0.343 0.870
O2 O 0.046 0.140 0.365
O3 O 0.146 0.561 0.636
O4 O 0.349 0.560 0.112
```

=====

The following is a DFT calculation (PBE) of a geometry-optimized K3RhN6O12 structure.

Summary:
ΔH_f (0 K): 0.7438 eV per atom

```
data_K3RhN6O12
_cell_length_a 10.367
_cell_length_b 10.367
_cell_length_c 10.367
_cell_angle_alpha 90.00
_cell_angle_beta 90.00
_cell_angle_gamma 90.00
_space_group_name_H-M_alt 'F m -3 m'
_space_group_IT_number 225
_space_group_name_Hall '-F 4 2 3'
loop_
_atom_site_label
_atom_site_type_symbol
_atom_site_fract_x
_atom_site_fract_y
_atom_site_fract_z
K1 K 0.000 0.000 0.000
K2 K 0.250 0.250 0.250
Rh1 Rh 0.000 0.000 0.500
N1 N 0.000 0.000 0.302
O1 O 0.000 0.204 0.296
```

=====

The following is a DFT calculation (PBE) of a geometry-optimized KSNO structure.

Summary:
ΔH_f (0 K): -0.9145 eV per atom

```
data_KSNO
_cell_length_a 6.378
_cell_length_b 7.263
_cell_length_c 7.911
_cell_angle_alpha 90.00
_cell_angle_beta 90.00
_cell_angle_gamma 90.00
_space_group_name_H-M_alt 'P 21 21 21'
_space_group_IT_number 19
_space_group_name_Hall 'P 2ac 2ab'
loop_
_atom_site_label
_atom_site_type_symbol
_atom_site_fract_x
_atom_site_fract_y
_atom_site_fract_z
K1 K 0.248 0.106 0.131
S1 S 0.247 0.593 0.120
N1 N 0.048 0.489 0.113
O1 O 0.045 0.510 0.614
```

=====

The following is a DFT calculation (PBE) of a geometry-optimized KSNO3 structure.

Summary:
ΔH_f (0 K): -1.1477 eV per atom

```
data_KSNO3
_cell_length_a 5.955
_cell_length_b 8.438
_cell_length_c 8.857
_cell_angle_alpha 90.00
_cell_angle_beta 90.00
_cell_angle_gamma 90.00
_space_group_name_H-M_alt 'P b c m'
_space_group_IT_number 57
_space_group_name_Hall '-P 2c 2b'
loop_
_atom_site_label
_atom_site_type_symbol
_atom_site_fract_x
_atom_site_fract_y
_atom_site_fract_z
K1 K 0.167 0.250 0.000
S1 S 0.318 0.628 0.250
N1 N 0.203 0.694 0.750
O1 O 0.232 0.555 0.110
O2 O 0.437 0.153 0.250
```

=====

The following is a DFT calculation (PBE) of a geometry-optimized KSeNO2 structure.

Summary:
ΔH_f (0 K): -0.8242 eV per atom

```
data_KSeNO2
_cell_length_a 7.602
_cell_length_b 13.046
_cell_length_c 12.119
_cell_angle_alpha 90.00
_cell_angle_beta 113.90
_cell_angle_gamma 90.00
_space_group_name_H-M_alt 'P 1 21/c 1'
_space_group_IT_number 14
_space_group_name_Hall '-P 2ybc'
loop_
_atom_site_label
_atom_site_type_symbol
_atom_site_fract_x
_atom_site_fract_y
_atom_site_fract_z
K1 K 0.101 0.140 0.430
K2 K 0.221 0.078 0.870
K3 K 0.307 0.750 0.404
Se1 Se 0.253 0.166 0.183
Se2 Se 0.292 0.564 0.666
Se3 Se 0.385 0.561 0.157
N1 N 0.132 0.044 0.150
N2 N 0.451 0.166 0.331
N3 N 0.500 0.063 0.690
O1 O 0.098 0.247 0.201
O2 O 0.160 0.663 0.672
O3 O 0.237 0.559 0.012
O4 O 0.259 0.583 0.240
O5 O 0.317 0.203 0.072
O6 O 0.363 0.572 0.553
```

=====

The following is a DFT calculation (PBE) of a geometry-optimized KOsN2 structure.

Summary:
ΔH_f (0 K): -0.0647 eV per atom

```
data_KOsN2
_cell_length_a 6.253
_cell_length_b 12.165
_cell_length_c 15.232
_cell_angle_alpha 90.00
_cell_angle_beta 90.00
_cell_angle_gamma 90.00
_space_group_name_H-M_alt 'P b c a'
_space_group_IT_number 61
_space_group_name_Hall '-P 2ac 2ab'
loop_
_atom_site_label
_atom_site_type_symbol
_atom_site_fract_x
_atom_site_fract_y
_atom_site_fract_z
K1 K 0.089 0.244 0.191
K2 K 0.242 0.508 0.072
Os1 Os 0.144 0.237 0.443
Os2 Os 0.244 0.011 0.816
N1 N 0.016 0.006 0.245
N2 N 0.155 0.739 0.033
N3 N 0.206 0.155 0.860
N4 N 0.211 0.094 0.405
```

=====

The following is a DFT calculation (PBE) of a geometry-optimized KPbN structure.

Summary:
ΔH_f (0 K): 0.1200 eV per atom

```
data_KPbN
_cell_length_a 12.780
_cell_length_b 3.582
_cell_length_c 6.775
_cell_angle_alpha 90.00
_cell_angle_beta 90.00
_cell_angle_gamma 90.00
_space_group_name_H-M_alt 'P n m a'
_space_group_IT_number 62
_space_group_name_Hall '-P 2ac 2n'
loop_
_atom_site_label
_atom_site_type_symbol
_atom_site_fract_x
_atom_site_fract_y
_atom_site_fract_z
K1 K 0.121 0.250 0.003
Pb1 Pb 0.109 0.250 0.517
N1 N 0.037 0.750 0.695
```

=====

The following is a DFT calculation (PBE) of a geometry-optimized KPbN structure.

Summary:
ΔH_f (0 K): 0.0551 eV per atom

```
data_KPbN
_cell_length_a 6.282
_cell_length_b 3.630
_cell_length_c 6.189
_cell_angle_alpha 90.00
_cell_angle_beta 90.15
_cell_angle_gamma 90.00
_space_group_name_H-M_alt 'C 1 m 1'
_space_group_IT_number 8
_space_group_name_Hall 'C -2y'
loop_
_atom_site_label
_atom_site_type_symbol
_atom_site_fract_x
_atom_site_fract_y
_atom_site_fract_z
K1 K 0.000 0.000 0.000
Pb1 Pb 0.335 0.000 0.470
N1 N 0.168 0.500 0.284
```

=====

The following is a DFT calculation (PBE) of a geometry-optimized KPbN structure.

Summary:
ΔH_f (0 K): 0.2332 eV per atom

```
data_KPbN
_cell_length_a 7.159
_cell_length_b 7.409
_cell_length_c 3.472
_cell_angle_alpha 90.00
_cell_angle_beta 106.68
_cell_angle_gamma 90.00
_space_group_name_H-M_alt 'C 1 m 1'
_space_group_IT_number 8
_space_group_name_Hall 'C -2y'
loop_
_atom_site_label
_atom_site_type_symbol
_atom_site_fract_x
_atom_site_fract_y
_atom_site_fract_z
K1 K 0.000 0.000 0.000
Pb1 Pb 0.003 0.500 0.311
N1 N 0.301 0.000 0.689
```

=====

The following is a DFT calculation (PBE) of a geometry-optimized KPdN structure.

Summary:
ΔH_f (0 K): 0.1293 eV per atom

```
data_KPdN
_cell_length_a 5.0763
_cell_length_b 5.0763
_cell_length_c 3.7379
_cell_angle_alpha 90.00
_cell_angle_beta 90.00
_cell_angle_gamma 120.00
_space_group_name_H-M_alt 'P -6 m 2'
_space_group_IT_number 187
_space_group_name_Hall 'P -6 2'
loop_
_atom_site_label
_atom_site_type_symbol
_atom_site_fract_x
_atom_site_fract_y
_atom_site_fract_z
K1 K 0.0000 0.0000 0.0000
Pd1 Pd 0.6667 0.3333 0.5000
N1 N 0.6667 0.3333 0.0000
```

=====

The following is a DFT calculation (PBE) of a geometry-optimized KPdN structure.

Summary:
ΔH_f (0 K): 0.0963 eV per atom

```
data_KPdN
_cell_length_a 3.763
_cell_length_b 9.092
_cell_length_c 3.775
_cell_angle_alpha 90.00
_cell_angle_beta 90.10
_cell_angle_gamma 90.00
_space_group_name_H-M_alt 'P 1 2/m 1'
_space_group_IT_number 10
_space_group_name_Hall '-P 2y'
loop_
_atom_site_label
_atom_site_type_symbol
_atom_site_fract_x
_atom_site_fract_y
_atom_site_fract_z
K1 K 0.000 0.250 0.000
Pd1 Pd 0.500 0.000 0.500
Pd2 Pd 0.500 0.500 0.500
N1 N 0.000 0.000 0.500
N2 N 0.500 0.500 0.000
```